A relaxed YCr3F15 crystal, computed with PBE with a Hubbard U.

Calculated values
**ΔE_f**: -2.757 eV per atom
**Volume**: 17.814 Å³/atom
**Total DFT energy (no corrections)**: -5.453 eV/atom

abc: 12.1092 6.4018 9.0355
angles: 75.11 90.00 90.00
Atoms (fractional coordinates):
Cr: 0.5011 0.9909 0.8360
Cr: 0.0000 0.0000 0.5000
Cr: 0.0011 0.0091 0.1640
Cr: 0.5000 0.0000 0.5000
Cr: 0.4989 0.0091 0.1640
Cr: 0.9989 0.9909 0.8360
F: 0.5831 0.8857 0.0250
F: 0.4203 0.1124 0.6488
F: 0.2500 0.3596 0.0963
F: 0.0831 0.1143 0.9750
F: 0.4164 0.7647 0.5393
F: 0.0836 0.7647 0.5393
F: 0.5797 0.8876 0.3512
F: 0.4189 0.7517 0.8798
F: 0.5856 0.8797 0.6837
F: 0.8980 0.2351 0.7908
F: 0.9189 0.2483 0.1202
F: 0.3980 0.7649 0.2092
F: 0.9144 0.8797 0.6837
F: 0.2500 0.3655 0.7774
F: 0.9169 0.8857 0.0250
F: 0.4144 0.1203 0.3163
F: 0.5811 0.2483 0.1202
F: 0.5836 0.2353 0.4607
F: 0.7500 0.6404 0.9037
F: 0.9203 0.8876 0.3512
F: 0.2500 0.3679 0.4534
F: 0.4169 0.1143 0.9750
F: 0.7500 0.6345 0.2226
F: 0.0856 0.1203 0.3163
F: 0.0811 0.7517 0.8798
F: 0.1020 0.7649 0.2092
F: 0.0797 0.1124 0.6488
F: 0.9164 0.2353 0.4607
F: 0.7500 0.6321 0.5466
F: 0.6020 0.2351 0.7908
Y: 0.7500 0.4414 0.7617
Y: 0.2500 0.5586 0.2383